i:
The following is a DFT calculation (GGA+U) of a geometry-optimized LiV3O4 structure.

The structure in POSCAR format:
```
LiV3O4
1.0
3.038 -4.324 0.000
3.038 4.324 0.000
0.000 0.000 6.085
Li V O
2 6 8
Direct
0.250 0.750 0.750
0.750 0.250 0.250
0.250 0.250 0.001
0.250 0.250 0.501
0.250 0.750 0.250
0.750 0.250 0.750
0.750 0.750 0.499
0.750 0.750 0.999
0.000 0.500 0.000
0.000 0.500 0.500
0.013 0.987 0.250
0.487 0.513 0.250
0.500 0.000 0.000
0.500 0.000 0.500
0.513 0.487 0.750
0.987 0.013 0.750
```

***

ii:
The following is a DFT calculation (GGA+U) of a geometry-optimized LiV3O4 structure.

The structure in POSCAR format:
```
LiV3O4
1.0
5.272 -2.984 0.000
5.272 2.984 0.000
-1.763 0.000 5.053
Li V O
2 6 8
Direct
0.000 0.500 0.000
0.500 0.000 0.000
0.000 0.000 0.000
0.237 0.763 0.500
0.253 0.253 0.501
0.500 0.500 0.000
0.747 0.747 0.499
0.763 0.237 0.500
0.120 0.625 0.741
0.126 0.126 0.747
0.375 0.880 0.259
0.385 0.385 0.269
0.615 0.615 0.731
0.625 0.120 0.741
0.874 0.874 0.253
0.880 0.375 0.259
```

The total moment is 0.000 μB per formula unit.

***

The most stable of them is ii.

***

i:
The following is a DFT calculation (GGA+U) of a geometry-optimized LiFe8O12 structure.

The structure in POSCAR format:
```
LiFe8O12
1.0
5.977 0.000 0.000
0.006 5.993 0.000
2.937 2.949 12.736
Li Fe O
2 16 24
Direct
0.000 0.000 0.000
0.497 0.502 0.499
0.005 0.500 0.500
0.127 0.371 0.751
0.163 0.159 0.164
0.207 0.955 0.583
0.332 0.835 0.837
0.339 0.332 0.338
0.340 0.827 0.336
0.457 0.703 0.081
0.542 0.294 0.918
0.661 0.165 0.664
0.662 0.667 0.666
0.669 0.163 0.163
0.794 0.038 0.422
0.833 0.836 0.835
0.874 0.629 0.247
0.996 0.497 0.999
0.079 0.598 0.837
0.082 0.060 0.829
0.091 0.581 0.337
0.102 0.086 0.327
0.236 0.256 0.005
0.242 0.274 0.491
0.244 0.736 0.488
0.248 0.743 0.991
0.408 0.399 0.173
0.410 0.923 0.170
0.431 0.910 0.676
0.435 0.414 0.670
0.569 0.584 0.329
0.570 0.082 0.335
0.587 0.067 0.831
0.589 0.602 0.830
0.752 0.252 0.510
0.753 0.739 0.511
0.763 0.261 0.997
0.764 0.746 0.989
0.883 0.910 0.683
0.904 0.418 0.664
0.923 0.931 0.166
0.926 0.409 0.160
```

The total moment is 39.000 μB per formula unit.

***

ii:
The following is a DFT calculation (GGA+U) of a geometry-optimized LiFe8O12 structure.

The structure in POSCAR format:
```
LiFe8O12
1.0
5.151 0.000 0.000
-0.032 5.435 0.000
-0.004 -0.413 7.706
Li Fe O
1 8 12
Direct
0.000 0.000 0.000
0.047 0.638 0.099
0.052 0.786 0.573
0.058 0.250 0.765
0.060 0.267 0.305
0.536 0.199 0.064
0.546 0.731 0.790
0.552 0.773 0.293
0.562 0.286 0.565
0.202 0.150 0.524
0.204 0.888 0.816
0.243 0.980 0.181
0.365 0.466 0.199
0.404 0.376 0.836
0.408 0.646 0.528
0.685 0.833 0.031
0.702 0.130 0.337
0.753 0.014 0.682
0.848 0.516 0.681
0.895 0.312 0.012
0.899 0.626 0.348
```

The total moment is 39.000 μB per formula unit.

***

The most stable of them is i.

***

i:
The following is a DFT calculation (GGA+U) of a geometry-optimized Li2VF6 structure.

The structure in POSCAR format:
```
Li2VF6
1.0
8.580 0.000 0.000
4.124 7.652 0.000
0.927 0.343 10.210
Li V F
12 6 36
Direct
0.000 0.000 0.000
0.039 0.624 0.801
0.206 0.077 0.489
0.277 0.275 0.965
0.329 0.348 0.304
0.385 0.963 0.101
0.454 0.183 0.576
0.534 0.423 0.778
0.637 0.605 0.256
0.688 0.666 0.592
0.883 0.718 0.080
0.955 0.957 0.556
0.321 0.627 0.526
0.334 0.622 0.030
0.668 0.953 0.325
0.670 0.956 0.825
0.994 0.282 0.242
0.997 0.285 0.738
0.082 0.082 0.842
0.083 0.385 0.860
0.085 0.068 0.341
0.093 0.707 0.480
0.094 0.703 0.969
0.106 0.347 0.358
0.221 0.204 0.640
0.224 0.202 0.136
0.240 0.859 0.080
0.240 0.859 0.580
0.257 0.542 0.181
0.260 0.553 0.693
0.392 0.395 0.468
0.408 0.677 0.871
0.410 0.398 0.955
0.420 0.675 0.374
0.440 0.049 0.428
0.452 0.036 0.930
0.544 0.561 0.106
0.546 0.550 0.603
0.566 0.162 0.235
0.574 0.180 0.731
0.586 0.879 0.698
0.590 0.851 0.196
0.724 0.743 0.416
0.746 0.032 0.458
0.766 0.029 0.943
0.766 0.737 0.915
0.774 0.366 0.820
0.778 0.373 0.338
0.879 0.869 0.219
0.892 0.865 0.723
0.904 0.509 0.159
0.914 0.505 0.651
0.927 0.195 0.115
0.942 0.180 0.606
```

The total moment is 0.667 μB per formula unit.

***

ii:
The following is a DFT calculation (GGA+U) of a geometry-optimized Li2VF6 structure.

The structure in POSCAR format:
```
Li2VF6
1.0
6.394 0.000 0.000
0.000 6.394 0.000
0.000 0.000 6.056
Li V F
4 2 12
Direct
0.000 0.500 0.250
0.000 0.500 0.750
0.500 0.000 0.250
0.500 0.000 0.750
0.000 0.000 0.000
0.500 0.500 0.500
0.000 0.000 0.296
0.000 0.000 0.704
0.030 0.302 0.000
0.198 0.470 0.500
0.302 0.970 0.000
0.470 0.802 0.500
0.500 0.500 0.204
0.500 0.500 0.796
0.530 0.198 0.500
0.698 0.030 0.000
0.802 0.530 0.500
0.970 0.698 0.000
```

The total moment is 1.000 μB per formula unit.

***

The most stable of them is i.

***

i:
The following is a DFT calculation (GGA+U) of a geometry-optimized LiV4O5F7 structure.

The structure in POSCAR format:
```
LiV4O5F7
1.0
5.266 0.000 0.000
-0.062 5.454 0.000
-0.054 -0.478 7.240
Li V O F
1 4 5 7
Direct
0.000 0.000 0.000
0.022 0.417 0.316
0.032 0.451 0.820
0.502 0.913 0.775
0.530 0.913 0.278
0.091 0.411 0.547
0.205 0.735 0.847
0.446 0.923 0.544
0.615 0.919 0.051
0.943 0.401 0.054
0.202 0.090 0.241
0.320 0.219 0.853
0.334 0.605 0.254
0.702 0.228 0.345
0.711 0.615 0.760
0.829 0.110 0.768
0.834 0.731 0.345
```

The total moment is 4.000 μB per formula unit.

***

ii:
The following is a DFT calculation (GGA+U) of a geometry-optimized LiV4O5F7 structure.

The structure in POSCAR format:
```
LiV4O5F7
1.0
5.147 0.000 0.000
0.200 5.336 0.000
0.070 0.417 7.571
Li V O F
1 4 5 7
Direct
0.000 0.000 0.000
0.502 0.922 0.202
0.519 0.890 0.700
0.982 0.385 0.697
0.991 0.433 0.224
0.225 0.123 0.223
0.714 0.631 0.740
0.800 0.736 0.141
0.805 0.125 0.751
0.918 0.414 0.445
0.096 0.402 0.945
0.206 0.701 0.655
0.310 0.203 0.647
0.310 0.615 0.250
0.377 0.911 0.941
0.610 0.928 0.450
0.719 0.223 0.136
```

The total moment is 4.003 μB per formula unit.

***

The most stable of them is ii.

***

i:
The following is a DFT calculation (GGA+U) of a geometry-optimized LiV4O5F7 structure.

The structure in POSCAR format:
```
LiV4O5F7
1.0
5.161 0.000 0.000
-0.299 5.404 0.000
-0.004 -0.393 7.508
Li V O F
1 4 5 7
Direct
0.000 0.000 0.000
0.470 0.896 0.303
0.493 0.932 0.797
0.955 0.408 0.312
0.982 0.446 0.830
0.200 0.745 0.856
0.276 0.635 0.271
0.696 0.209 0.345
0.770 0.134 0.779
0.906 0.430 0.055
0.075 0.424 0.563
0.184 0.119 0.235
0.279 0.229 0.867
0.374 0.950 0.551
0.619 0.910 0.059
0.688 0.630 0.751
0.781 0.719 0.365
```

The total moment is 3.998 μB per formula unit.

***

ii:
The following is a DFT calculation (GGA+U) of a geometry-optimized LiV4O5F7 structure.

The structure in POSCAR format:
```
LiV4O5F7
1.0
5.239 0.000 0.000
2.599 4.700 0.000
2.614 -0.457 17.038
Li V O F
2 8 10 14
Direct
0.000 0.000 0.000
0.330 0.673 0.604
0.139 0.370 0.298
0.194 0.803 0.806
0.404 0.750 0.424
0.425 0.205 0.930
0.601 0.100 0.550
0.629 0.589 0.048
0.907 0.988 0.175
0.937 0.414 0.682
0.344 0.252 0.635
0.358 0.027 0.367
0.378 0.510 0.861
0.422 0.915 0.994
0.469 0.384 0.491
0.486 0.870 0.519
0.504 0.378 0.015
0.869 0.267 0.117
0.961 0.646 0.240
0.965 0.143 0.742
0.337 0.760 0.143
0.348 0.535 0.342
0.369 0.024 0.839
0.484 0.156 0.217
0.490 0.665 0.707
0.831 0.303 0.592
0.835 0.512 0.390
0.858 0.795 0.084
0.873 0.987 0.899
0.904 0.772 0.617
0.971 0.135 0.268
0.979 0.418 0.965
0.981 0.632 0.764
0.993 0.905 0.472
```

The total moment is 3.999 μB per formula unit.

***

The most stable of them is ii.

***

i:
The following is a DFT calculation (GGA+U) of a geometry-optimized Li5Co3O8 structure.

The structure in POSCAR format:
```
Li5Co3O8
1.0
5.031 0.000 0.000
1.609 5.520 0.000
1.559 2.517 4.975
Li Co O
5 3 8
Direct
0.000 0.000 0.000
0.496 0.756 0.748
0.497 0.756 0.247
0.503 0.244 0.753
0.504 0.244 0.252
0.000 0.000 0.500
0.000 0.500 0.000
0.000 0.500 0.500
0.217 0.133 0.149
0.220 0.609 0.123
0.222 0.133 0.612
0.238 0.644 0.615
0.762 0.356 0.385
0.778 0.867 0.388
0.780 0.391 0.877
0.783 0.867 0.851
```

The total moment is 2.000 μB per formula unit.

***

ii:
The following is a DFT calculation (GGA+U) of a geometry-optimized Li5Co3O8 structure.

The structure in POSCAR format:
```
Li5Co3O8
1.0
4.982 0.000 0.000
0.000 2.948 0.000
-2.030 0.000 9.526
Li Co O
5 3 8
Direct
0.000 0.000 0.000
0.241 0.500 0.245
0.251 0.000 0.755
0.749 0.000 0.245
0.759 0.500 0.755
0.000 0.500 0.500
0.500 0.000 0.500
0.500 0.500 0.000
0.132 0.000 0.381
0.168 0.500 0.889
0.368 0.500 0.616
0.389 0.000 0.109
0.611 0.000 0.891
0.632 0.500 0.384
0.832 0.500 0.111
0.868 0.000 0.619
```

The total moment is 0.056 μB per formula unit.

***

iii:
The following is a DFT calculation (GGA+U) of a geometry-optimized Li5Co3O8 structure.

The structure in POSCAR format:
```
Li5Co3O8
1.0
2.988 0.000 0.000
0.098 5.025 0.000
0.312 2.190 9.478
Li Co O
5 3 8
Direct
0.000 0.000 0.000
0.000 0.500 0.500
0.494 0.247 0.751
0.500 0.000 0.500
0.506 0.753 0.249
0.001 0.244 0.260
0.500 0.500 0.000
0.999 0.756 0.740
0.000 0.088 0.639
0.000 0.912 0.361
0.009 0.409 0.871
0.466 0.146 0.124
0.470 0.632 0.634
0.530 0.368 0.366
0.534 0.854 0.876
0.991 0.591 0.129
```

The total moment is 2.520 μB per formula unit.

***

The most stable of them is i.